No. 1
{
  "formula": "LaAl2",
  "functional": "PBE-GGA",
  "state": "optimized geometry",
  "crystal_system": "cubic",
  "space_group": "Fd-3m, No. 227",
  "cell": [[0.000, 4.072, 4.072], [4.072, 0.000, 4.072], [4.072, 4.072, 0.000]],
  "species": ["La", "La", "Al", "Al", "Al", "Al"],
  "fractional_positions": [[0.250, 0.250, 0.250], [0.000, 0.000, 0.000], [0.625, 0.625, 0.125], [0.625, 0.125, 0.625], [0.625, 0.625, 0.625], [0.125, 0.625, 0.625]]
}

---

No. 2
{
  "formula": "LaAl4",
  "functional": "PBE-GGA",
  "state": "optimized geometry",
  "crystal_system": "orthorhombic",
  "space_group": "Imm2, No. 44",
  "cell": [[1.471, -2.755, 8.310], [-7.838, 2.721, 3.158], [4.969, -5.610, -4.760]],
  "species": ["La", "La", "La", "Al", "Al", "Al", "Al", "Al", "Al", "Al", "Al", "Al", "Al", "Al", "Al"],
  "fractional_positions": [[0.329, 0.333, 0.996], [0.664, 0.667, 0.996], [0.010, 0.000, 0.010], [0.592, 0.839, 0.753], [0.248, 0.500, 0.748], [0.728, 0.339, 0.389], [0.426, 0.173, 0.253], [0.290, 0.671, 0.620], [0.949, 0.329, 0.620], [0.079, 0.827, 0.253], [0.050, 0.661, 0.389], [0.746, 0.500, 0.246], [0.609, 0.000, 0.609], [0.379, 0.000, 0.379], [0.913, 0.161, 0.753]]
}

---

No. 3
{
  "formula": "La16Al13",
  "functional": "PBE-GGA",
  "state": "optimized geometry",
  "crystal_system": "hexagonal",
  "space_group": "P-62m, No. 189",
  "cell": [[0.667, 8.144, -4.123], [-7.342, -1.959, 5.103], [5.184, 4.160, 9.054]],
  "species": ["Al", "Al", "Al", "Al", "Al", "Al", "Al", "Al", "Al", "Al", "Al", "Al", "Al", "La", "La", "La", "La", "La", "La", "La", "La", "La", "La", "La", "La", "La", "La", "La", "La"],
  "fractional_positions": [[0.286, 0.000, 0.290], [0.421, 0.000, 0.500], [0.579, 0.579, 0.500], [0.714, 0.714, 0.290], [0.000, 0.000, 0.236], [0.667, 0.333, 0.000], [0.000, 0.286, 0.290], [0.286, 0.000, 0.710], [0.333, 0.667, 0.000], [0.000, 0.000, 0.764], [0.714, 0.714, 0.710], [0.000, 0.286, 0.710], [0.000, 0.421, 0.500], [0.333, 0.667, 0.663], [0.667, 0.333, 0.337], [0.261, 0.000, 0.000], [0.667, 0.333, 0.663], [0.333, 0.667, 0.337], [0.000, 0.614, 0.837], [0.229, 0.229, 0.500], [0.771, 0.000, 0.500], [0.000, 0.771, 0.500], [0.739, 0.739, 0.000], [0.386, 0.386, 0.163], [0.386, 0.386, 0.837], [0.000, 0.261, 0.000], [0.614, 0.000, 0.163], [0.000, 0.614, 0.163], [0.614, 0.000, 0.837]]
}

---

No. 4
{
  "formula": "La3Al",
  "functional": "PBE-GGA",
  "state": "optimized geometry",
  "crystal_system": "cubic",
  "space_group": "Pm-3m, No. 221",
  "cell": [[4.977, 0.000, 0.000], [0.000, 4.977, 0.000], [0.000, 0.000, 4.977]],
  "species": ["Al", "La", "La", "La"],
  "fractional_positions": [[0.000, 0.000, 0.000], [0.000, 0.500, 0.500], [0.500, 0.500, 0.000], [0.500, 0.000, 0.500]]
}

---

| no. | energy (eV/atom) |
| --- | --- |
| 1 | -4.643 |
| 2 | -4.337 |
| 3 | -4.766 |
| 4 | -4.819 |